Record 1
Material: CaMg14CO16
Method: DFT, PBE-GGA
State: relaxed

Cell lengths 8.5850, 8.5850, 4.3002 Å; angles 90.00, 90.00, 90.00 degrees
Last column: nearest neighbours and their distance in Å.
Space group P4/mmm (No. 123)
Asymmetric unit:
Ca 0.0000 0.0000 0.0000  6 O 2.15-2.26
Mg 0.0000 0.2559 0.5000  6 O 2.10-2.20
Mg 0.0000 0.5000 0.0000  6 O 2.03-2.15
Mg 0.2534 0.5000 0.5000  6 O 2.12-2.18
Mg 0.2552 0.2552 0.0000  6 O 2.10-2.19
C 0.5000 0.5000 0.0000  6 O 2.14-2.15
O 0.0000 0.0000 0.5000  2 Ca 2.15, 4 Mg 2.20
O 0.0000 0.2638 0.0000  5 Mg 2.03-2.19, 1 Ca 2.26
O 0.0000 0.5000 0.5000  6 Mg 2.10-2.18
O 0.2506 0.2506 0.5000  6 Mg 2.14-2.15
O 0.2509 0.5000 0.0000  5 Mg 2.10-2.15, 1 C 2.14
O 0.5000 0.5000 0.5000  4 Mg 2.12, 2 C 2.15

Output
E_form (kcal/mol of atoms): -62.59
Energy with MP2020 corrections (eV per atom): -6.239

=====

Record 2
Material: CaMg14CO16
Method: DFT, PBE-GGA
State: relaxed

Cell lengths 4.2957, 8.5619, 8.5857 Å; angles 90.00, 90.00, 90.00 degrees
Last column: nearest neighbours and their distance in Å.
Space group Pmmm (No. 47)
Asymmetric unit:
Ca 0.0000 0.0000 0.0000  6 O 2.15-2.26
Mg 0.0000 0.0000 0.5000  6 O 2.04-2.16
Mg 0.0000 0.2548 0.2512  6 O 2.10-2.18
Mg 0.0000 0.5000 0.5000  6 O 2.12-2.15
Mg 0.5000 0.0000 0.2553  6 O 2.10-2.19
Mg 0.5000 0.2504 0.5000  6 O 2.14-2.16
Mg 0.5000 0.2583 0.0000  6 O 2.07-2.21
Mg 0.5000 0.5000 0.2468  6 O 2.12-2.17
C 0.0000 0.5000 0.0000  6 O 2.03-2.17
O 0.0000 0.0000 0.2628  5 Mg 2.04-2.18, 1 Ca 2.26
O 0.0000 0.2526 0.5000  6 Mg 2.12-2.16
O 0.0000 0.2630 0.0000  1 C 2.03, 4 Mg 2.15-2.16, 1 Ca 2.25
O 0.0000 0.5000 0.2531  5 Mg 2.10-2.15, 1 C 2.17
O 0.5000 0.0000 0.0000  2 Ca 2.15, 4 Mg 2.19-2.21
O 0.5000 0.0000 0.5000  6 Mg 2.10-2.15
O 0.5000 0.2502 0.2485  6 Mg 2.13-2.16
O 0.5000 0.5000 0.0000  4 Mg 2.07-2.12, 2 C 2.15
O 0.5000 0.5000 0.5000  6 Mg 2.14-2.17

Output
E_form (kcal/mol of atoms): -62.58
Energy with MP2020 corrections (eV per atom): -6.239

=====

Record 3
Material: CaMgC2O6
Method: DFT, PBE-GGA
State: relaxed

Cell lengths 4.8722, 4.8722, 16.1887 Å; angles 90.00, 90.00, 120.00 degrees
Last column: nearest neighbours and their distance in Å.
Space group R-3 (No. 148, hexagonal axes)
Asymmetric unit:
Ca 0.0000 0.0000 0.0000  6 O 2.41
Mg 0.0000 0.0000 0.5000  6 O 2.12
C 0.0000 0.0000 0.2430  3 O 1.30
O 0.0335 0.2815 0.2440  1 C 1.30

Output
E_form (kcal/mol of atoms): -59.32
Energy with MP2020 corrections (eV per atom): -7.747

=====

Record 4
Material: CaMg3C4O12
Method: DFT, PBE-GGA
State: relaxed

Cell lengths 9.6144, 9.6144, 7.9040 Å; angles 90.00, 90.00, 120.00 degrees
Last column: nearest neighbours and their distance in Å.
Space group R32 (No. 155, hexagonal axes)
Asymmetric unit:
Ca 0.0000 0.0000 0.0000  6 O 2.43
Mg 0.0000 0.4575 0.0000  6 O 2.06-2.13
C 0.0000 0.0000 0.5000  3 O 1.30
C 0.0000 0.5433 0.5000  3 O 1.29-1.30
O 0.0000 0.1350 0.5000  1 C 1.30
O 0.0000 0.4079 0.5000  1 C 1.30
O 0.0091 0.8017 0.1824  1 C 1.29

Output
E_form (kcal/mol of atoms): -57.81
Energy with MP2020 corrections (eV per atom): -7.662

=====

Record 5
Material: CaC8N6
Method: DFT, PBE-GGA
State: relaxed

Cell lengths 8.0694, 5.6889, 11.2661 Å; angles 90.00, 90.00, 90.00 degrees
Last column: nearest neighbours and their distance in Å.
Space group Pmna (No. 53)
Asymmetric unit:
Ca 0.0000 0.0000 0.0000  6 N 2.45-2.54
C 0.0000 0.4036 0.2564  1 N 1.17
C 0.0000 0.4137 0.6598  3 C 1.40
C 0.1486 0.3148 0.6191  1 N 1.17
N 0.0000 0.2532 0.1852  1 C 1.17
N 0.2297 0.2279 0.9169  1 C 1.17

Output
E_form (kcal/mol of atoms): -0.61
Energy with MP2020 corrections (eV per atom): -8.417

=====

Record 6
Material: Ca7CN6
Method: DFT, PBE-GGA
State: relaxed

Cell lengths 10.6000, 6.1727, 12.5938 Å; angles 90.00, 90.00, 90.00 degrees
Last column: nearest neighbours and their distance in Å.
Space group Pbcn (No. 60)
Asymmetric unit:
Ca 0.0000 0.0385 0.2500  4 N 2.40-2.65
Ca 0.0434 0.2422 0.5144  4 N 2.40-2.60
Ca 0.2044 0.3742 0.1329  5 N 2.40-2.58
Ca 0.2141 0.3619 0.8762  4 N 2.36-2.45
C 0.0000 0.4396 0.7500  4 N 1.53-1.58
N 0.0359 0.4168 0.3443  1 C 1.53
N 0.1123 0.2901 0.7108  1 C 1.58
N 0.1670 0.0884 0.0008  6 Ca 2.36-2.53

Output
E_form (kcal/mol of atoms): -17.81
Energy with MP2020 corrections (eV per atom): -6.007